--- P ---
RbMg6C: relaxed, PBE-GGA.

Values from the calculation:
Total moment, μB/f.u.: 0.1

Unit cell a=3.283 b=8.311 c=14.581 alpha=90.00 beta=90.00 gamma=90.00
Positions (direct):
Mg (0.500, 0.500, 0.592)
Mg (0.000, 0.173, 0.628)
Mg (0.500, 0.000, 0.092)
Mg (0.000, 0.327, 0.128)
Mg (0.000, 0.000, 0.290)
Mg (0.500, 0.833, 0.463)
Mg (0.500, 0.333, 0.963)
Mg (0.500, 0.667, 0.963)
Mg (0.000, 0.827, 0.628)
Mg (0.500, 0.167, 0.463)
Mg (0.000, 0.673, 0.128)
Mg (0.000, 0.500, 0.790)
Rb (0.000, 0.000, 0.842)
Rb (0.000, 0.500, 0.342)
C (0.500, 0.500, 0.093)
C (0.500, 0.000, 0.593)


--- Q ---
RbMg6C: relaxed, PBE-GGA.

Values from the calculation:
Total moment, μB/f.u.: 0.0

Unit cell a=8.595 b=8.595 c=3.359 alpha=90.00 beta=90.00 gamma=121.27
Positions (direct):
Mg (0.867, 0.749, 0.500)
Mg (0.211, 0.789, 0.000)
Mg (0.575, 0.425, 0.000)
Mg (0.251, 0.133, 0.500)
Mg (0.256, 0.436, 0.000)
Mg (0.564, 0.744, 0.000)
C (0.478, 0.522, 0.500)
Rb (0.798, 0.202, 0.500)


The data favor P; the next most stable structure lies 68 meV/atom above it.


--- P ---
Mg6SbC: relaxed, PBE-GGA.

Values from the calculation:
Total moment, μB/f.u.: 0.0

Unit cell a=4.888 b=6.194 c=10.766 alpha=90.00 beta=90.00 gamma=90.00
Positions (direct):
Mg (0.000, 0.766, 0.086)
Mg (0.500, 0.751, 0.417)
Mg (0.500, 0.249, 0.417)
Mg (0.500, 0.749, 0.917)
Mg (0.000, 0.500, 0.335)
Mg (0.000, 0.000, 0.325)
Mg (0.500, 0.251, 0.917)
Mg (0.000, 0.734, 0.586)
Mg (0.000, 0.500, 0.825)
Mg (0.000, 0.266, 0.586)
Mg (0.000, 0.000, 0.835)
Mg (0.000, 0.234, 0.086)
C (0.500, 0.000, 0.167)
C (0.500, 0.500, 0.667)
Sb (0.500, 0.500, 0.167)
Sb (0.500, 0.000, 0.667)


--- Q ---
Mg6SbC: relaxed, PBE-GGA.

Values from the calculation:
Total moment, μB/f.u.: 0.0

Unit cell a=4.353 b=5.993 c=13.088 alpha=90.00 beta=90.00 gamma=90.00
Positions (direct):
Mg (0.500, 0.500, 0.679)
Mg (0.000, 0.244, 0.060)
Mg (0.500, 0.221, 0.897)
Mg (0.000, 0.756, 0.060)
Mg (0.500, 0.279, 0.397)
Mg (0.000, 0.500, 0.823)
Mg (0.500, 0.000, 0.179)
Mg (0.000, 0.744, 0.560)
Mg (0.500, 0.779, 0.897)
Mg (0.500, 0.721, 0.397)
Mg (0.000, 0.256, 0.560)
Mg (0.000, 0.000, 0.323)
Sb (0.500, 0.500, 0.157)
Sb (0.500, 0.000, 0.657)
C (0.000, 0.000, 0.929)
C (0.000, 0.500, 0.429)


The data favor Q; the next most stable structure lies 198 meV/atom above it.